MgTe4Mo2W2S4 | GGA-PBE | relaxed

a b c (Å): 3.361 3.361 44.070
angles (deg): 90.06 90.06 60.04
Sites, in units of the cell vectors:
Mg 0.000 0.000 0.000
Te 0.334 0.334 0.682
Te 0.334 0.334 0.769
Te 0.667 0.667 0.247
Te 0.668 0.668 0.333
Mo 0.334 0.334 0.290
Mo 0.334 0.334 0.908
W 0.667 0.667 0.109
W 0.667 0.667 0.726
S 0.333 0.333 0.074
S 0.334 0.334 0.143
S 0.667 0.667 0.874
S 0.668 0.668 0.943

Values from the calculation:
- Energy of formation: -6.753 eV/f.u.
- Space-group type: Cm, No. 8
- E (MP2020): -6.545 eV/atom

=====

NdAl | GGA-PBE | relaxed

a b c (Å): 5.989 11.829 5.764
angles (deg): 90.00 90.00 90.00
Sites, in units of the cell vectors:
Nd 0.095 0.166 0.250
Nd 0.095 0.334 0.750
Nd 0.336 0.011 0.750
Nd 0.336 0.489 0.250
Nd 0.664 0.511 0.750
Nd 0.664 0.989 0.250
Nd 0.905 0.666 0.250
Nd 0.905 0.834 0.750
Al 0.167 0.601 0.750
Al 0.167 0.899 0.250
Al 0.428 0.750 0.000
Al 0.428 0.750 0.500
Al 0.572 0.250 0.000
Al 0.572 0.250 0.500
Al 0.833 0.101 0.750
Al 0.833 0.399 0.250

Values from the calculation:
- Energy of formation: -0.785 eV/f.u.
- Space-group type: Pbcm, No. 57

=====

SiBi2O5 | GGA-PBE | relaxed

a b c (Å): 10.876 3.900 11.110
angles (deg): 90.00 90.00 90.00
Sites, in units of the cell vectors:
Si 0.207 0.250 0.143
Si 0.293 0.750 0.643
Si 0.707 0.250 0.357
Si 0.793 0.750 0.857
Bi 0.072 0.250 0.784
Bi 0.147 0.250 0.458
Bi 0.353 0.750 0.958
Bi 0.428 0.750 0.284
Bi 0.572 0.250 0.716
Bi 0.647 0.250 0.042
Bi 0.853 0.750 0.542
Bi 0.928 0.750 0.216
O 0.001 0.250 0.601
O 0.063 0.250 0.183
O 0.191 0.750 0.756
O 0.234 0.750 0.134
O 0.243 0.250 0.995
O 0.257 0.750 0.495
O 0.266 0.250 0.634
O 0.309 0.250 0.256
O 0.437 0.750 0.683
O 0.499 0.750 0.101
O 0.501 0.250 0.899
O 0.563 0.250 0.317
O 0.691 0.750 0.744
O 0.734 0.750 0.366
O 0.743 0.250 0.505
O 0.757 0.750 0.005
O 0.766 0.250 0.866
O 0.809 0.250 0.244
O 0.937 0.750 0.817
O 0.999 0.750 0.399

Values from the calculation:
- Energy of formation: -17.608 eV/f.u.
- Space-group type: Pnma, No. 62
- E (MP2020): -6.944 eV/atom

=====

Hg6BiAs4Cl7 | GGA-PBE | relaxed

a b c (Å): 12.501 12.501 12.501
angles (deg): 90.00 90.00 90.00
Sites, in units of the cell vectors:
Hg 0.047 0.186 0.696
Hg 0.047 0.314 0.196
Hg 0.186 0.696 0.047
Hg 0.186 0.804 0.547
Hg 0.196 0.047 0.314
Hg 0.196 0.453 0.814
Hg 0.304 0.547 0.314
Hg 0.304 0.953 0.814
Hg 0.314 0.196 0.047
Hg 0.314 0.304 0.547
Hg 0.453 0.686 0.696
Hg 0.453 0.814 0.196
Hg 0.547 0.186 0.804
Hg 0.547 0.314 0.304
Hg 0.686 0.696 0.453
Hg 0.686 0.804 0.953
Hg 0.696 0.047 0.186
Hg 0.696 0.453 0.686
Hg 0.804 0.547 0.186
Hg 0.804 0.953 0.686
Hg 0.814 0.196 0.453
Hg 0.814 0.304 0.953
Hg 0.953 0.686 0.804
Hg 0.953 0.814 0.304
Bi 0.000 0.000 0.000
Bi 0.000 0.500 0.500
Bi 0.500 0.000 0.500
Bi 0.500 0.500 0.000
As 0.152 0.652 0.848
As 0.152 0.848 0.348
As 0.233 0.233 0.233
As 0.233 0.267 0.733
As 0.267 0.733 0.233
As 0.267 0.767 0.733
As 0.348 0.152 0.848
As 0.348 0.348 0.348
As 0.652 0.652 0.652
As 0.652 0.848 0.152
As 0.733 0.233 0.267
As 0.733 0.267 0.767
As 0.767 0.733 0.267
As 0.767 0.767 0.767
As 0.848 0.152 0.652
As 0.848 0.348 0.152
Cl 0.000 0.000 0.500
Cl 0.000 0.500 0.000
Cl 0.044 0.549 0.292
Cl 0.044 0.951 0.792
Cl 0.049 0.208 0.956
Cl 0.049 0.292 0.456
Cl 0.208 0.544 0.549
Cl 0.208 0.956 0.049
Cl 0.292 0.044 0.549
Cl 0.292 0.456 0.049
Cl 0.451 0.708 0.956
Cl 0.451 0.792 0.456
Cl 0.456 0.049 0.292
Cl 0.456 0.451 0.792
Cl 0.500 0.000 0.000
Cl 0.500 0.500 0.500
Cl 0.544 0.549 0.208
Cl 0.544 0.951 0.708
Cl 0.549 0.208 0.544
Cl 0.549 0.292 0.044
Cl 0.708 0.544 0.951
Cl 0.708 0.956 0.451
Cl 0.792 0.044 0.951
Cl 0.792 0.456 0.451
Cl 0.951 0.708 0.544
Cl 0.951 0.792 0.044
Cl 0.956 0.049 0.208
Cl 0.956 0.451 0.708

Values from the calculation:
- Energy of formation: -12.770 eV/f.u.
- Space-group type: Pa-3, No. 205
- E (MP2020): -2.781 eV/atom

=====

HgO | GGA-PBE | relaxed

a b c (Å): 3.747 3.747 8.899
angles (deg): 90.00 90.00 120.00
Sites, in units of the cell vectors:
Hg 0.000 0.235 0.333
Hg 0.235 0.000 0.667
Hg 0.765 0.765 0.000
O 0.000 0.555 0.833
O 0.445 0.445 0.500
O 0.555 0.000 0.167

Values from the calculation:
- Energy of formation: -1.272 eV/f.u.
- Space-group type: P3_221, No. 154
- E (MP2020): -3.262 eV/atom

=====

Na5Ta2Si5Sn2PO24 | GGA-PBE | relaxed

a b c (Å): 9.007 9.008 22.484
angles (deg): 89.86 89.90 60.07
Sites, in units of the cell vectors:
Na 0.000 0.000 0.000
Na 0.000 0.366 0.756
Na 0.008 0.370 0.253
Na 0.033 0.031 0.342
Na 0.304 0.404 0.343
Na 0.329 0.339 0.669
Na 0.331 0.697 0.427
Na 0.335 0.694 0.913
Na 0.637 0.737 0.000
Na 0.656 0.036 0.085
Na 0.665 0.040 0.582
Na 0.667 0.665 0.339
Na 0.698 0.695 0.672
Na 0.699 0.339 0.171
Na 0.975 0.069 0.670
Ta 0.006 0.366 0.108
Ta 0.330 0.701 0.567
Ta 0.335 0.698 0.067
Ta 0.671 0.032 0.736
Ta 0.675 0.028 0.231
Ta 0.998 0.368 0.898
Si 0.002 0.072 0.505
Si 0.005 0.652 0.003
Si 0.046 0.699 0.673
Si 0.048 0.990 0.172
Si 0.291 0.081 0.004
Si 0.298 0.366 0.504
Si 0.331 0.409 0.173
Si 0.334 0.990 0.672
Si 0.622 0.414 0.672
Si 0.624 0.702 0.171
Si 0.665 0.741 0.840
Si 0.666 0.326 0.337
Si 0.711 0.367 0.005
Si 0.958 0.744 0.339
Si 0.964 0.030 0.840
Sn 0.001 0.367 0.405
Sn 0.003 0.365 0.605
Sn 0.332 0.699 0.272
Sn 0.334 0.703 0.776
Sn 0.666 0.035 0.941
Sn 0.670 0.039 0.444
P 0.378 0.324 0.839
P 0.383 0.032 0.338
P 0.704 0.663 0.505
O 0.011 0.186 0.165
O 0.011 0.539 0.664
O 0.032 0.531 0.946
O 0.035 0.151 0.443
O 0.135 0.740 0.615
O 0.141 0.869 0.115
O 0.148 0.858 0.835
O 0.149 0.726 0.334
O 0.154 0.918 0.234
O 0.163 0.171 0.947
O 0.166 0.385 0.164
O 0.169 0.184 0.666
O 0.172 0.649 0.729
O 0.172 0.677 0.012
O 0.179 0.885 0.512
O 0.183 0.404 0.443
O 0.193 0.198 0.062
O 0.201 0.334 0.843
O 0.204 0.197 0.341
O 0.211 0.343 0.565
O 0.284 0.914 0.728
O 0.297 0.515 0.235
O 0.305 0.891 0.012
O 0.317 0.538 0.511
O 0.356 0.502 0.833
O 0.360 0.873 0.332
O 0.367 0.507 0.118
O 0.375 0.860 0.615
O 0.467 0.211 0.782
O 0.473 0.059 0.283
O 0.482 0.190 0.501
O 0.484 0.051 0.002
O 0.487 0.243 0.894
O 0.495 0.503 0.615
O 0.495 0.995 0.393
O 0.500 0.522 0.333
O 0.501 0.715 0.835
O 0.503 0.728 0.113
O 0.507 0.009 0.679
O 0.509 0.223 0.178
O 0.526 0.545 0.012
O 0.527 0.676 0.512
O 0.546 0.536 0.729
O 0.551 0.657 0.231
O 0.617 0.246 0.393
O 0.637 0.851 0.901
O 0.639 0.223 0.679
O 0.640 0.874 0.178
O 0.684 0.842 0.499
O 0.687 0.843 0.782
O 0.697 0.204 0.278
O 0.700 0.193 0.001
O 0.781 0.554 0.447
O 0.806 0.401 0.948
O 0.811 0.530 0.163
O 0.814 0.581 0.561
O 0.815 0.388 0.665
O 0.829 0.338 0.064
O 0.832 0.839 0.281
O 0.833 0.842 0.002
O 0.836 0.046 0.503
O 0.838 0.058 0.782
O 0.844 0.338 0.342
O 0.846 0.556 0.843
O 0.854 0.012 0.178
O 0.856 0.876 0.679
O 0.872 0.867 0.396
O 0.879 0.007 0.901
O 0.971 0.186 0.565
O 0.973 0.559 0.061
O 0.974 0.553 0.341
O 0.976 0.207 0.844

Values from the calculation:
- Energy of formation: -111.308 eV/f.u.
- Space-group type: P1, No. 1
- E (MP2020): -7.717 eV/atom

=====

Cs4GeTe6 | GGA-PBE | relaxed

a b c (Å): 8.094 14.366 18.309
angles (deg): 90.00 104.23 90.00
Sites, in units of the cell vectors:
Cs 0.021 0.175 0.374
Cs 0.021 0.325 0.874
Cs 0.191 0.606 0.497
Cs 0.191 0.894 0.997
Cs 0.342 0.060 0.800
Cs 0.342 0.440 0.300
Cs 0.413 0.590 0.900
Cs 0.413 0.910 0.400
Cs 0.587 0.090 0.600
Cs 0.587 0.410 0.100
Cs 0.658 0.560 0.700
Cs 0.658 0.940 0.200
Cs 0.809 0.106 0.003
Cs 0.809 0.394 0.503
Cs 0.979 0.675 0.126
Cs 0.979 0.825 0.626
Ge 0.260 0.147 0.153
Ge 0.260 0.353 0.653
Ge 0.740 0.647 0.347
Ge 0.740 0.853 0.847
Te 0.024 0.227 0.666
Te 0.024 0.273 0.166
Te 0.079 0.075 0.579
Te 0.079 0.425 0.079
Te 0.144 0.506 0.696
Te 0.144 0.994 0.196
Te 0.340 0.157 0.025
Te 0.340 0.343 0.525
Te 0.444 0.701 0.257
Te 0.444 0.799 0.757
Te 0.494 0.704 0.112
Te 0.494 0.796 0.612
Te 0.506 0.204 0.388
Te 0.506 0.296 0.888
Te 0.556 0.201 0.243
Te 0.556 0.299 0.743
Te 0.660 0.657 0.475
Te 0.660 0.843 0.975
Te 0.856 0.006 0.804
Te 0.856 0.494 0.304
Te 0.921 0.575 0.921
Te 0.921 0.925 0.421
Te 0.976 0.727 0.834
Te 0.976 0.773 0.334

Values from the calculation:
- Energy of formation: -10.299 eV/f.u.
- Space-group type: P2_1/c, No. 14
- E (MP2020): -3.397 eV/atom

=====

Sr2CN2 | GGA-PBE | relaxed

a b c (Å): 6.078 6.078 5.525
angles (deg): 90.00 90.00 126.86
Sites, in units of the cell vectors:
Sr 0.104 0.896 0.757
Sr 0.396 0.604 0.757
Sr 0.604 0.396 0.243
Sr 0.896 0.104 0.243
C 0.250 0.750 0.152
C 0.750 0.250 0.848
N 0.136 0.864 0.252
N 0.364 0.636 0.252
N 0.636 0.364 0.748
N 0.864 0.136 0.748

Values from the calculation:
- Energy of formation: -2.848 eV/f.u.
- Space-group type: Cmme, No. 67
- E (MP2020): -6.426 eV/atom